(1)
Ge7F16 | GGA-PBE | relaxed

* formation energy: -2.467 eV/atom
* symmetry: Cc, No. 9

Unit cell a=9.9975 b=9.9975 c=10.4356 alpha=89.40 beta=89.40 gamma=45.66
Atoms (fractional coordinates):
Ge  0.9281  0.7677  0.0275
Ge  0.7677  0.9281  0.5275
Ge  0.7358  0.3929  0.5901
Ge  0.3929  0.7358  0.0901
Ge  0.2656  0.5649  0.4074
Ge  0.5649  0.2656  0.9074
Ge  0.3329  0.2312  0.1921
Ge  0.2312  0.3329  0.6921
Ge  0.2330  0.0356  0.4573
Ge  0.0356  0.2330  0.9573
Ge  0.7632  0.6409  0.3038
Ge  0.6409  0.7632  0.8038
Ge  0.1773  0.8244  0.7518
Ge  0.8244  0.1773  0.2518
F  0.9728  0.8718  0.7999
F  0.8718  0.9728  0.2999
F  0.0543  0.0658  0.8133
F  0.0658  0.0543  0.3133
F  0.3009  0.5902  0.6990
F  0.5902  0.3009  0.1990
F  0.2739  0.7298  0.9184
F  0.7298  0.2739  0.4184
F  0.0786  0.9252  0.5942
F  0.9252  0.0786  0.0942
F  0.3790  0.7875  0.7137
F  0.7875  0.3790  0.2137
F  0.7654  0.7826  0.6522
F  0.7826  0.7654  0.1522
F  0.2021  0.4842  0.2628
F  0.4842  0.2021  0.7628
F  0.0206  0.6777  0.4812
F  0.6777  0.0206  0.9812
F  0.3765  0.3462  0.4924
F  0.3462  0.3765  0.9924
F  0.2177  0.2054  0.3460
F  0.2054  0.2177  0.8460
F  0.6418  0.5962  0.4898
F  0.5962  0.6418  0.9898
F  0.6616  0.8761  0.4046
F  0.8761  0.6616  0.9046
F  0.5133  0.7915  0.2484
F  0.7915  0.5133  0.7484
F  0.1098  0.3465  0.1058
F  0.3465  0.1098  0.6058
F  0.9925  0.2692  0.5338
F  0.2692  0.9925  0.0338


(2)
Sm4GaSbS9 | GGA-PBE | relaxed

* formation energy: -1.840 eV/atom
* spin magnetization: 0.000 μB per formula unit
* symmetry: Aea2, No. 41

Unit cell a=10.0491 b=10.0491 c=13.7245 alpha=90.00 beta=90.00 gamma=90.86
Atoms (fractional coordinates):
Sm  0.1265  0.0915  0.8145
Sm  0.9085  0.8735  0.1855
Sm  0.6265  0.5915  0.6855
Sm  0.4085  0.3735  0.3145
Sm  0.3341  0.3223  0.6011
Sm  0.6777  0.6659  0.3989
Sm  0.8341  0.8223  0.8989
Sm  0.1777  0.1659  0.1011
Sm  0.6244  0.0443  0.6810
Sm  0.9557  0.3756  0.3190
Sm  0.1244  0.5443  0.8190
Sm  0.4557  0.8756  0.1810
Sm  0.4497  0.3266  0.8962
Sm  0.6734  0.5503  0.1038
Sm  0.9497  0.8266  0.6038
Sm  0.1734  0.0503  0.3962
Ga  0.3841  0.8254  0.9077
Ga  0.1746  0.6159  0.0923
Ga  0.8841  0.3254  0.5923
Ga  0.6746  0.1159  0.4077
Sb  0.3263  0.8318  0.6130
Sb  0.1682  0.6737  0.3870
Sb  0.8263  0.3318  0.8870
Sb  0.6682  0.1737  0.1130
S  0.1640  0.0143  0.5998
S  0.9857  0.8360  0.4002
S  0.6640  0.5143  0.9002
S  0.4857  0.3360  0.0998
S  0.6662  0.1472  0.9192
S  0.8528  0.3338  0.0808
S  0.1662  0.6472  0.5808
S  0.3528  0.8338  0.4192
S  0.2056  0.8191  0.8010
S  0.1809  0.7944  0.1990
S  0.7056  0.3191  0.6990
S  0.6809  0.2944  0.3010
S  0.5719  0.8222  0.8095
S  0.1778  0.4281  0.1905
S  0.0719  0.3222  0.6905
S  0.6778  0.9281  0.3095
S  0.8693  0.1307  0.5000
S  0.3693  0.6307  0.0000
S  0.4898  0.1197  0.5062
S  0.8803  0.5102  0.4938
S  0.9898  0.6197  0.9938
S  0.3803  0.0102  0.0062
S  0.6796  0.8150  0.5682
S  0.1850  0.3204  0.4318
S  0.1796  0.3150  0.9318
S  0.6850  0.8204  0.0682
S  0.8805  0.0045  0.7503
S  0.9955  0.1195  0.2497
S  0.3805  0.5045  0.7497
S  0.4955  0.6195  0.2503
S  0.5002  0.4998  0.5000
S  0.0002  0.9998  0.0000
S  0.3889  0.1424  0.7533
S  0.8576  0.6111  0.2467
S  0.8889  0.6424  0.7467
S  0.3576  0.1111  0.2533